The following is a DFT calculation (GGA+U) of MgV2NiTe2O10 after structural relaxation.

Properties
calculated formation energy = -1.931 eV/atom

Unit cell a=5.152 b=6.739 c=6.586 alpha=89.97 beta=65.74 gamma=78.55
Fractional coordinates of all 16 atoms:
Mg 0.942 0.237 0.247
V 0.673 0.613 0.611
V 0.313 0.397 0.413
Ni 0.991 0.562 0.988
Te 0.332 0.847 0.236
Te 0.676 0.117 0.781
O 0.016 0.512 0.299
O 0.633 0.360 0.151
O 0.274 0.131 0.952
O 0.604 0.308 0.564
O 0.752 0.888 0.578
O 0.215 0.117 0.400
O 0.409 0.678 0.449
O 0.731 0.849 0.058
O 0.378 0.640 0.868
O 0.992 0.485 0.695



The following is a DFT calculation (GGA+U) of MgV2NiTe2O10 after structural relaxation.

Properties
calculated formation energy = -1.902 eV/atom

Unit cell a=5.273 b=6.759 c=7.537 alpha=78.75 beta=58.51 gamma=74.61
Fractional coordinates of all 16 atoms:
Mg 0.314 0.375 0.100
V 0.676 0.597 0.590
V 0.354 0.418 0.433
Ni 0.942 0.554 0.926
Te 0.325 0.892 0.232
Te 0.743 0.080 0.721
O 0.042 0.553 0.337
O 0.632 0.412 0.156
O 0.339 0.139 0.963
O 0.613 0.312 0.558
O 0.707 0.882 0.595
O 0.286 0.130 0.350
O 0.425 0.688 0.440
O 0.743 0.838 0.007
O 0.355 0.577 0.853
O 0.976 0.448 0.689



The following is a DFT calculation (GGA+U) of MgTi8Ni8O24 after structural relaxation.

Properties
calculated formation energy = -2.482 eV/atom

Unit cell a=5.587 b=11.221 c=11.170 alpha=53.99 beta=54.03 gamma=53.95
Fractional coordinates of all 41 atoms:
Mg 0.499 0.748 0.749
Ti 0.358 0.177 0.172
Ti 0.139 0.078 0.571
Ti 0.129 0.575 0.080
Ti 0.153 0.559 0.566
Ti 0.863 0.424 0.420
Ti 0.854 0.415 0.936
Ti 0.877 0.931 0.407
Ti 0.826 0.943 0.933
Ni 0.147 0.073 0.073
Ni 0.342 0.679 0.172
Ni 0.357 0.167 0.678
Ni 0.642 0.324 0.326
Ni 0.321 0.663 0.666
Ni 0.647 0.331 0.819
Ni 0.654 0.820 0.329
Ni 0.675 0.833 0.833
O 0.054 0.376 0.218
O 0.436 0.037 0.375
O 0.733 0.228 0.030
O 0.231 0.277 0.473
O 0.557 0.471 0.115
O 0.052 0.379 0.720
O 0.045 0.873 0.233
O 0.952 0.118 0.284
O 0.472 0.029 0.874
O 0.437 0.522 0.380
O 0.767 0.216 0.527
O 0.758 0.723 0.035
O 0.228 0.288 0.976
O 0.232 0.776 0.467
O 0.546 0.469 0.614
O 0.570 0.980 0.120
O 0.085 0.876 0.712
O 0.953 0.116 0.780
O 0.945 0.616 0.280
O 0.428 0.539 0.876
O 0.749 0.709 0.540
O 0.242 0.784 0.960
O 0.572 0.957 0.618
O 0.917 0.617 0.783



The following is a DFT calculation (GGA+U) of MgTi8Ni8O24 after structural relaxation.

Properties
calculated formation energy = -2.483 eV/atom

Unit cell a=5.606 b=11.205 c=11.154 alpha=53.92 beta=53.80 gamma=53.82
Fractional coordinates of all 41 atoms:
Mg 0.006 0.998 0.002
Ti 0.349 0.178 0.185
Ti 0.130 0.073 0.586
Ti 0.144 0.582 0.065
Ti 0.137 0.569 0.573
Ti 0.856 0.428 0.428
Ti 0.856 0.422 0.931
Ti 0.870 0.926 0.418
Ti 0.815 0.919 0.906
Ni 0.174 0.084 0.085
Ni 0.345 0.670 0.179
Ni 0.353 0.178 0.666
Ni 0.646 0.326 0.327
Ni 0.351 0.670 0.672
Ni 0.648 0.330 0.822
Ni 0.650 0.822 0.327
Ni 0.644 0.814 0.816
O 0.071 0.378 0.216
O 0.435 0.037 0.375
O 0.750 0.215 0.033
O 0.230 0.283 0.472
O 0.561 0.471 0.115
O 0.055 0.381 0.720
O 0.052 0.884 0.218
O 0.959 0.116 0.291
O 0.421 0.027 0.878
O 0.441 0.523 0.385
O 0.771 0.220 0.527
O 0.753 0.713 0.028
O 0.230 0.290 0.977
O 0.228 0.779 0.471
O 0.563 0.472 0.614
O 0.584 0.977 0.114
O 0.059 0.873 0.713
O 0.940 0.111 0.788
O 0.942 0.615 0.281
O 0.441 0.529 0.883
O 0.770 0.717 0.525
O 0.209 0.788 0.972
O 0.560 0.970 0.610
O 0.950 0.609 0.779



> Among the records above, which one has the lowest calculated formation energy?

number 4



> Which value of calculated formation energy does entry 4 give?

-2.483 eV/atom



> Which value of calculated formation energy does entry 2 give?

-1.902 eV/atom



What did the third record say?
The following is a DFT calculation (GGA+U) of MgTi8Ni8O24 after structural relaxation.

Properties
calculated formation energy = -2.482 eV/atom

Unit cell a=5.587 b=11.221 c=11.170 alpha=53.99 beta=54.03 gamma=53.95
Fractional coordinates of all 41 atoms:
Mg 0.499 0.748 0.749
Ti 0.358 0.177 0.172
Ti 0.139 0.078 0.571
Ti 0.129 0.575 0.080
Ti 0.153 0.559 0.566
Ti 0.863 0.424 0.420
Ti 0.854 0.415 0.936
Ti 0.877 0.931 0.407
Ti 0.826 0.943 0.933
Ni 0.147 0.073 0.073
Ni 0.342 0.679 0.172
Ni 0.357 0.167 0.678
Ni 0.642 0.324 0.326
Ni 0.321 0.663 0.666
Ni 0.647 0.331 0.819
Ni 0.654 0.820 0.329
Ni 0.675 0.833 0.833
O 0.054 0.376 0.218
O 0.436 0.037 0.375
O 0.733 0.228 0.030
O 0.231 0.277 0.473
O 0.557 0.471 0.115
O 0.052 0.379 0.720
O 0.045 0.873 0.233
O 0.952 0.118 0.284
O 0.472 0.029 0.874
O 0.437 0.522 0.380
O 0.767 0.216 0.527
O 0.758 0.723 0.035
O 0.228 0.288 0.976
O 0.232 0.776 0.467
O 0.546 0.469 0.614
O 0.570 0.980 0.120
O 0.085 0.876 0.712
O 0.953 0.116 0.780
O 0.945 0.616 0.280
O 0.428 0.539 0.876
O 0.749 0.709 0.540
O 0.242 0.784 0.960
O 0.572 0.957 0.618
O 0.917 0.617 0.783